Computed, not measured: USnPt2 after structural relaxation at the PBE level of DFT.

abc: 4.202 4.202 11.480
angles: 90.00 90.00 120.00
Fractional positions:
U 0.000 0.000 0.000
U 0.000 0.000 0.500
Sn 0.333 0.667 0.250
Sn 0.667 0.333 0.750
Pt 0.333 0.667 0.627
Pt 0.333 0.667 0.873
Pt 0.667 0.333 0.127
Pt 0.667 0.333 0.373

Results
E_form: -49.6 kJ/mol of atoms
space-group type: P6_3/mmc
energy: -7.375 eV/atom

---

Computed, not measured: U2SnPt2 after structural relaxation at the PBE level of DFT.

abc: 7.680 7.680 3.733
angles: 90.00 90.00 90.00
Fractional positions:
U 0.132 0.368 0.000
U 0.368 0.868 0.000
U 0.632 0.132 0.000
U 0.868 0.632 0.000
Sn 0.000 0.000 0.500
Sn 0.500 0.500 0.500
Pt 0.169 0.669 0.500
Pt 0.331 0.169 0.500
Pt 0.669 0.831 0.500
Pt 0.831 0.331 0.500

Results
E_form: -49.6 kJ/mol of atoms
space-group type: P4/mbm
energy: -8.261 eV/atom

---

Computed, not measured: U2SnPt2 after structural relaxation at the PBE level of DFT.

abc: 7.746 7.746 7.316
angles: 90.00 90.00 90.00
Fractional positions:
U 0.154 0.154 0.000
U 0.187 0.187 0.500
U 0.313 0.687 0.000
U 0.346 0.654 0.500
U 0.654 0.346 0.500
U 0.687 0.313 0.000
U 0.813 0.813 0.500
U 0.846 0.846 0.000
Sn 0.000 0.500 0.250
Sn 0.000 0.500 0.750
Sn 0.500 0.000 0.250
Sn 0.500 0.000 0.750
Pt 0.131 0.869 0.281
Pt 0.131 0.869 0.719
Pt 0.369 0.369 0.219
Pt 0.369 0.369 0.781
Pt 0.631 0.631 0.219
Pt 0.631 0.631 0.781
Pt 0.869 0.131 0.281
Pt 0.869 0.131 0.719

Results
E_form: -57.5 kJ/mol of atoms
space-group type: P4_2/mnm
energy: -8.343 eV/atom

---

Computed, not measured: YSnPt2 after structural relaxation at the PBE level of DFT.

abc: 4.558 4.558 9.172
angles: 90.00 90.00 120.00
Fractional positions:
Y 0.333 0.667 0.250
Y 0.667 0.333 0.750
Sn 0.000 0.000 0.000
Sn 0.000 0.000 0.500
Pt 0.333 0.667 0.591
Pt 0.333 0.667 0.909
Pt 0.667 0.333 0.091
Pt 0.667 0.333 0.409

Results
E_form: -96.4 kJ/mol of atoms
space-group type: P6_3/mmc
energy: -6.653 eV/atom

---

Computed, not measured: YSnPt2 after structural relaxation at the PBE level of DFT.

abc: 4.839 4.839 8.287
angles: 90.00 90.00 120.00
Fractional positions:
Y 0.000 0.000 0.000
Y 0.000 0.000 0.500
Sn 0.333 0.667 0.250
Sn 0.667 0.333 0.750
Pt 0.333 0.667 0.587
Pt 0.333 0.667 0.913
Pt 0.667 0.333 0.087
Pt 0.667 0.333 0.413

Results
E_form: -79.3 kJ/mol of atoms
space-group type: P6_3/mmc
energy: -6.476 eV/atom

---

Computed, not measured: YSnPt after structural relaxation at the PBE level of DFT.

abc: 7.226 4.576 8.065
angles: 90.00 90.00 90.00
Fractional positions:
Y 0.010 0.250 0.198
Y 0.490 0.750 0.698
Y 0.510 0.250 0.302
Y 0.990 0.750 0.802
Sn 0.182 0.250 0.585
Sn 0.318 0.750 0.085
Sn 0.682 0.250 0.915
Sn 0.818 0.750 0.415
Pt 0.215 0.750 0.410
Pt 0.285 0.250 0.910
Pt 0.715 0.750 0.090
Pt 0.785 0.250 0.590

Results
E_form: -103.5 kJ/mol of atoms
space-group type: Pnma
energy: -6.588 eV/atom

---

Computed, not measured: Sr7Pt3 after structural relaxation at the PBE level of DFT.

abc: 8.007 24.543 7.192
angles: 90.00 90.00 90.00
Fractional positions:
Sr 0.043 0.118 0.154
Sr 0.043 0.382 0.154
Sr 0.168 0.023 0.677
Sr 0.168 0.477 0.677
Sr 0.177 0.750 0.648
Sr 0.180 0.174 0.684
Sr 0.180 0.326 0.684
Sr 0.320 0.674 0.184
Sr 0.320 0.826 0.184
Sr 0.323 0.250 0.148
Sr 0.332 0.523 0.177
Sr 0.332 0.977 0.177
Sr 0.457 0.618 0.654
Sr 0.457 0.882 0.654
Sr 0.543 0.118 0.346
Sr 0.543 0.382 0.346
Sr 0.668 0.023 0.823
Sr 0.668 0.477 0.823
Sr 0.677 0.750 0.852
Sr 0.680 0.174 0.816
Sr 0.680 0.326 0.816
Sr 0.820 0.674 0.316
Sr 0.820 0.826 0.316
Sr 0.823 0.250 0.352
Sr 0.832 0.523 0.323
Sr 0.832 0.977 0.323
Sr 0.957 0.618 0.846
Sr 0.957 0.882 0.846
Pt 0.022 0.750 0.035
Pt 0.122 0.595 0.463
Pt 0.122 0.905 0.463
Pt 0.378 0.095 0.963
Pt 0.378 0.405 0.963
Pt 0.478 0.250 0.535
Pt 0.522 0.750 0.465
Pt 0.622 0.595 0.037
Pt 0.622 0.905 0.037
Pt 0.878 0.095 0.537
Pt 0.878 0.405 0.537
Pt 0.978 0.250 0.965

Results
E_form: -61.0 kJ/mol of atoms
space-group type: Pnma
energy: -3.636 eV/atom

---

Computed, not measured: Sr4Pt after structural relaxation at the PBE level of DFT.

abc: 8.924 8.924 8.924
angles: 60.00 60.00 60.00
Fractional positions:
Sr 0.236 0.755 0.755
Sr 0.245 0.245 0.245
Sr 0.245 0.245 0.764
Sr 0.245 0.764 0.245
Sr 0.755 0.236 0.755
Sr 0.755 0.755 0.236
Sr 0.755 0.755 0.755
Sr 0.764 0.245 0.245
Pt 0.375 0.375 0.375
Pt 0.625 0.625 0.625

Results
E_form: -16.0 kJ/mol of atoms
space-group type: Fd-3m
energy: -2.732 eV/atom

---

Computed, not measured: SrPt5 after structural relaxation at the PBE level of DFT.

abc: 5.501 5.501 4.397
angles: 90.00 90.00 120.00
Fractional positions:
Sr 0.000 0.000 0.000
Pt 0.000 0.500 0.500
Pt 0.333 0.667 0.000
Pt 0.500 0.000 0.500
Pt 0.500 0.500 0.500
Pt 0.667 0.333 0.000

Results
E_form: -50.5 kJ/mol of atoms
space-group type: P6/mmm
energy: -5.864 eV/atom

---

Computed, not measured: Sr5Pt4 after structural relaxation at the PBE level of DFT.

abc: 7.896 15.734 8.223
angles: 90.00 90.00 90.00
Fractional positions:
Sr 0.001 0.095 0.181
Sr 0.001 0.405 0.181
Sr 0.157 0.121 0.672
Sr 0.157 0.379 0.672
Sr 0.184 0.750 0.513
Sr 0.316 0.250 0.013
Sr 0.343 0.621 0.172
Sr 0.343 0.879 0.172
Sr 0.499 0.595 0.681
Sr 0.499 0.905 0.681
Sr 0.501 0.095 0.319
Sr 0.501 0.405 0.319
Sr 0.657 0.121 0.828
Sr 0.657 0.379 0.828
Sr 0.684 0.750 0.987
Sr 0.816 0.250 0.487
Sr 0.843 0.621 0.328
Sr 0.843 0.879 0.328
Sr 0.999 0.595 0.819
Sr 0.999 0.905 0.819
Pt 0.052 0.750 0.101
Pt 0.168 0.539 0.470
Pt 0.168 0.961 0.470
Pt 0.202 0.250 0.369
Pt 0.298 0.750 0.869
Pt 0.332 0.039 0.970
Pt 0.332 0.461 0.970
Pt 0.448 0.250 0.601
Pt 0.552 0.750 0.399
Pt 0.668 0.539 0.030
Pt 0.668 0.961 0.030
Pt 0.702 0.250 0.131
Pt 0.798 0.750 0.631
Pt 0.832 0.039 0.530
Pt 0.832 0.461 0.530
Pt 0.948 0.250 0.899

Results
E_form: -73.6 kJ/mol of atoms
space-group type: Pnma
energy: -4.399 eV/atom

---

Computed, not measured: Ta3Pt after structural relaxation at the PBE level of DFT.

abc: 4.618 4.618 4.618
angles: 60.00 60.00 60.00
Fractional positions:
Ta 0.000 0.000 0.000
Ta 0.250 0.250 0.250
Ta 0.750 0.750 0.750
Pt 0.500 0.500 0.500

Results
E_form: -22.4 kJ/mol of atoms
space-group type: Fm-3m
energy: -10.643 eV/atom

---

Computed, not measured: Ta3Pt after structural relaxation at the PBE level of DFT.

abc: 4.129 4.129 4.129
angles: 90.00 90.00 90.00
Fractional positions:
Ta 0.000 0.000 0.500
Ta 0.000 0.500 0.000
Ta 0.500 0.000 0.000
Pt 0.500 0.500 0.500

Results
E_form: -22.5 kJ/mol of atoms
space-group type: Pm-3m
energy: -10.644 eV/atom